No. 1
A geometry-optimized Na2Mg4SiSn4S11O48 structure, computed with PBE.

Cell lengths 17.426, 8.718, 22.754 Å; angles 90.10, 89.97, 120.07 degrees
Positions (direct):
O 0.845 0.531 0.242
O 0.156 0.466 0.759
O 0.654 0.852 0.969
O 0.072 0.484 0.580
Sn 0.500 0.004 0.642
O 0.422 0.535 0.744
O 0.768 0.696 0.256
O 0.158 0.844 0.255
O 0.401 0.969 0.413
O 0.928 0.302 0.531
O 0.092 0.216 0.695
S 0.650 0.003 0.250
O 0.824 0.528 0.639
O 0.775 0.705 0.970
Sn 0.000 0.996 0.650
O 0.515 0.182 0.912
Mg 0.336 0.329 0.187
Mg 0.334 0.329 0.979
O 0.235 0.307 0.743
S 0.352 0.000 0.748
O 0.191 0.494 0.363
O 0.150 0.849 0.972
O 0.991 0.808 0.089
O 0.659 0.845 0.257
O 0.486 0.170 0.589
Sn 0.501 0.007 0.354
O 0.931 0.359 0.923
O 0.683 0.476 0.362
Mg 0.999 0.992 0.356
O 0.990 0.165 0.589
O 0.428 0.554 0.030
Mg 0.835 0.335 0.185
O 0.582 0.457 0.974
Sn 0.001 0.000 0.148
Sn 0.500 0.008 0.150
Na 0.340 0.330 0.329
Mg 0.335 0.335 0.483
Mg 0.163 0.664 0.811
O 0.276 0.704 0.971
Mg 0.331 0.333 0.683
O 0.819 0.118 0.136
Sn 0.160 0.663 0.315
O 0.562 0.493 0.856
Na 0.843 0.346 0.832
S 0.310 0.662 0.915
O 0.439 0.528 0.137
O 0.183 0.869 0.866
O 0.478 0.166 0.309
Sn 0.665 0.657 0.021
O 0.337 0.526 0.243
O 0.680 0.493 0.081
O 0.412 0.011 0.086
S 0.520 0.667 0.417
O 0.073 0.446 0.972
O 0.437 0.359 0.638
O 0.101 0.023 0.301
O 0.608 0.031 0.303
O 0.103 0.173 0.801
O 0.015 0.812 0.696
Mg 0.004 0.002 0.855
O 0.940 0.351 0.638
O 0.325 0.138 0.424
Mg 0.667 0.669 0.523
O 0.892 0.815 0.194
O 0.898 0.977 0.408
O 0.571 0.659 0.079
S 0.314 0.961 0.418
O 0.514 0.825 0.698
Sn 0.164 0.664 0.018
S 0.979 0.625 0.084
O 0.907 0.023 0.804
S 0.479 0.629 0.084
O 0.248 0.353 0.423
O 0.259 0.649 0.863
Si 0.497 0.296 0.251
O 0.982 0.793 0.801
O 0.396 0.966 0.697
O 0.901 0.825 0.908
O 0.096 0.175 0.089
Sn 0.498 0.006 0.853
O 0.813 0.126 0.423
S 0.500 0.710 0.750
S 0.146 0.002 0.250
O 0.846 0.145 0.030
O 0.157 0.458 0.470
O 0.244 0.133 0.924
O 0.318 0.521 0.636
O 0.227 0.146 0.530
O 0.422 0.303 0.532
O 0.927 0.549 0.030
O 0.014 0.213 0.194
O 0.597 0.026 0.589
O 0.241 0.361 0.136
O 0.656 0.469 0.755
S 0.833 0.625 0.584
O 0.851 0.547 0.533
O 0.921 0.486 0.423
O 0.344 0.544 0.530
O 0.013 0.847 0.413
O 0.918 0.528 0.744
O 0.404 0.823 0.912
O 0.557 0.640 0.361
O 0.757 0.629 0.864
O 0.567 0.489 0.576
S 0.691 0.045 0.584
Si 0.014 0.666 0.418
Sn 0.666 0.659 0.315
O 0.918 0.813 0.589
Na 0.499 0.010 0.999
O 0.317 0.504 0.923
O 0.422 0.355 0.921
O 0.086 0.968 0.908
S 0.690 0.330 0.083
O 0.597 0.168 0.085
Na 0.843 0.347 0.341
S 0.669 0.964 0.917
O 0.762 0.836 0.758
S 0.979 0.328 0.585
O 0.181 0.864 0.580
O 0.757 0.652 0.577
S 0.668 0.375 0.420
S 0.166 0.956 0.915
S 0.998 0.704 0.752
O 0.346 0.144 0.029
S 0.189 0.335 0.083
O 0.739 0.125 0.638
O 0.411 0.315 0.246
O 0.077 0.689 0.759
O 0.274 0.849 0.470
O 0.730 0.158 0.533
O 0.064 0.493 0.866
O 0.177 0.494 0.077
O 0.989 0.180 0.302
O 0.412 0.805 0.588
O 0.057 0.621 0.358
O 0.322 0.116 0.136
S 0.147 0.292 0.752
O 0.736 0.310 0.743
O 0.676 0.867 0.576
Na 0.997 0.979 0.493
S 0.000 0.290 0.251
O 0.412 0.041 0.802
Mg 0.838 0.339 0.983
O 0.486 0.790 0.805
O 0.512 0.832 0.409
S 0.188 0.044 0.584
O 0.889 0.966 0.698
S 0.816 0.669 0.917
O 0.090 0.961 0.195
O 0.268 0.841 0.758
O 0.088 0.208 0.408
S 0.350 0.703 0.252
O 0.252 0.648 0.576
O 0.841 0.156 0.745
O 0.082 0.708 0.475
O 0.264 0.698 0.259
S 0.833 0.041 0.083
Si 0.518 0.376 0.916
O 0.743 0.348 0.425
O 0.408 0.781 0.305
O 0.730 0.311 0.029
O 0.095 0.017 0.588
S 0.170 0.374 0.416
O 0.755 0.878 0.360
S 0.331 0.622 0.583
S 0.853 0.002 0.753
O 0.591 0.962 0.197
O 0.766 0.837 0.467
O 0.590 0.210 0.698
O 0.585 0.968 0.910
O 0.653 0.463 0.469
O 0.821 0.506 0.925
S 0.332 0.038 0.082
O 0.913 0.795 0.300
O 0.346 0.160 0.741
Sn 0.667 0.664 0.814
Mg 0.836 0.338 0.481
O 0.736 0.163 0.242
S 0.649 0.292 0.749
O 0.922 0.312 0.243
O 0.912 0.016 0.089
O 0.252 0.856 0.076
O 0.686 0.889 0.862
O 0.738 0.345 0.137
Mg 0.836 0.338 0.682
O 0.228 0.307 0.030
Na 0.333 0.324 0.838
Sn 0.162 0.666 0.520
O 0.430 0.512 0.422
S 0.019 0.372 0.915
S 0.856 0.708 0.250
O 0.238 0.126 0.637
O 0.521 0.216 0.193
S 0.809 0.955 0.417
O 0.390 0.815 0.198
O 0.490 0.816 0.089
O 0.609 0.182 0.804
O 0.940 0.520 0.137
O 0.584 0.196 0.413
O 0.083 0.466 0.253
S 0.478 0.339 0.584
O 0.575 0.697 0.468
O 0.070 0.649 0.078
O 0.010 0.199 0.908
O 0.583 0.705 0.756
O 0.232 0.162 0.242
O 0.589 0.484 0.258
O 0.745 0.142 0.923
O 0.262 0.882 0.363
O 0.752 0.857 0.077

=====

No. 2
A geometry-optimized NdCuNi4 structure, computed with PBE.

Cell lengths 4.986, 4.986, 4.007 Å; angles 90.00, 90.00, 120.71 degrees
Positions (direct):
Cu 0.000 0.000 0.500
Ni 0.500 0.000 0.500
Ni 0.176 0.824 0.000
Ni 0.000 0.500 0.500
Ni 0.824 0.176 0.000
Nd 0.500 0.500 0.000

=====

No. 3
A geometry-optimized Cr2CuSe3Br structure, computed with PBE.

Cell lengths 7.454, 7.454, 7.454 Å; angles 59.96, 59.96, 59.96 degrees
Positions (direct):
Cu 0.888 0.888 0.888
Cr 0.500 0.000 0.500
Cr 0.000 0.500 0.500
Se 0.260 0.721 0.260
Cu 0.112 0.112 0.112
Cr 0.500 0.500 0.500
Se 0.721 0.260 0.260
Se 0.740 0.279 0.740
Se 0.279 0.740 0.740
Se 0.260 0.260 0.721
Cr 0.500 0.500 0.000
Se 0.740 0.740 0.279
Br 0.255 0.255 0.255
Br 0.745 0.745 0.745

=====

No. 4
A geometry-optimized La12Mn3Al4Se28 structure, computed with PBE.

Cell lengths 10.687, 12.403, 12.409 Å; angles 60.95, 64.55, 64.53 degrees
Positions (direct):
Se 0.153 0.246 0.514
Se 0.665 0.099 0.573
Se 0.903 0.259 0.256
Se 0.851 0.757 0.484
La 0.237 0.934 0.691
La 0.375 0.795 0.066
Se 0.240 0.591 0.318
La 0.765 0.052 0.323
Se 0.333 0.180 0.154
Se 0.669 0.593 0.069
La 0.368 0.301 0.564
Se 0.419 0.799 0.298
Se 0.915 0.056 0.799
Mn 0.000 0.261 0.739
Al 0.668 0.908 0.758
Se 0.084 0.441 0.711
La 0.765 0.553 0.815
Mn 0.000 0.740 0.260
La 0.231 0.430 0.202
Se 0.769 0.924 0.162
Se 0.087 0.954 0.191
La 0.866 0.251 0.515
Se 0.418 0.300 0.796
Se 0.487 0.959 0.455
Se 0.904 0.758 0.756
La 0.137 0.240 0.997
Se 0.095 0.991 0.490
La 0.626 0.190 0.948
Se 0.482 0.463 0.961
Se 0.908 0.562 0.289
Se 0.582 0.453 0.451
Al 0.666 0.408 0.259
Se 0.583 0.953 0.950
La 0.861 0.747 0.018
Al 0.334 0.492 0.842
Se 0.854 0.243 0.989
Se 0.334 0.679 0.653
Mn 0.000 0.001 0.999
Se 0.762 0.408 0.678
Se 0.099 0.495 0.992
Se 0.514 0.793 0.789
Se 0.145 0.766 0.002
La 0.137 0.730 0.500
La 0.632 0.683 0.453
Se 0.231 0.086 0.829
Se 0.514 0.292 0.291
Al 0.332 0.992 0.341

=====

No. 5
A geometry-optimized HfTl structure, computed with PBE.

Cell lengths 3.232, 3.232, 5.193 Å; angles 90.00, 90.00, 120.00 degrees
Positions (direct):
Tl 0.667 0.333 0.000
Hf 0.000 0.000 0.500

=====

No. 6
A geometry-optimized Li2InIr structure, computed with PBE.

Cell lengths 4.469, 4.469, 4.469 Å; angles 60.00, 60.00, 60.00 degrees
Positions (direct):
Li 0.500 0.500 0.500
In 0.750 0.750 0.750
Ir 0.000 0.000 0.000
Li 0.250 0.250 0.250

=====

No. 7
A geometry-optimized PrUS2 structure, computed with PBE.

Cell lengths 7.054, 7.054, 7.054 Å; angles 32.55, 32.55, 32.55 degrees
Positions (direct):
S 0.245 0.245 0.245
Pr 0.000 0.000 0.000
U 0.500 0.500 0.500
S 0.755 0.755 0.755

=====

No. 8
A geometry-optimized YMg14NbO16 structure, computed with PBE.

Cell lengths 4.412, 8.703, 8.780 Å; angles 90.00, 90.00, 90.00 degrees
Positions (direct):
Nb 0.000 0.000 0.500
O 0.500 0.250 0.249
O 0.000 0.000 0.752
O 0.500 0.250 0.751
Mg 0.500 0.738 0.000
Mg 0.500 0.746 0.500
Y 0.000 0.000 0.000
O 0.000 0.739 0.000
O 0.000 0.500 0.249
O 0.000 0.261 0.000
O 0.500 0.000 0.000
Mg 0.000 0.742 0.744
O 0.500 0.500 0.500
O 0.000 0.000 0.248
Mg 0.500 0.262 0.000
O 0.000 0.500 0.751
O 0.000 0.735 0.500
Mg 0.500 0.500 0.252
Mg 0.000 0.500 0.000
Mg 0.000 0.258 0.256
O 0.500 0.500 0.000
O 0.500 0.750 0.751
O 0.500 0.000 0.500
O 0.000 0.265 0.500
Mg 0.000 0.500 0.500
Mg 0.000 0.258 0.744
Mg 0.500 0.000 0.260
O 0.500 0.750 0.249
Mg 0.000 0.742 0.256
Mg 0.500 0.500 0.748
Mg 0.500 0.000 0.740
Mg 0.500 0.254 0.500

=====

No. 9
A geometry-optimized GdAgS2 structure, computed with PBE.

Cell lengths 7.697, 7.715, 12.793 Å; angles 89.55, 90.00, 90.00 degrees
Positions (direct):
S 0.730 0.523 0.529
Ag 0.254 0.002 0.303
Gd 0.757 0.998 0.247
Ag 0.504 0.243 0.967
Ag 0.749 0.500 0.209
S 0.030 0.775 0.286
Ag 0.249 0.500 0.791
S 0.525 0.726 0.221
Gd 0.003 0.753 0.503
S 0.530 0.225 0.714
Gd 0.503 0.247 0.497
S 0.230 0.477 0.471
S 0.480 0.225 0.279
Gd 0.005 0.254 0.997
Ag 0.999 0.258 0.471
S 0.976 0.275 0.214
Ag 0.004 0.757 0.033
Gd 0.249 0.498 0.252
S 0.025 0.274 0.779
S 0.726 0.472 0.965
Gd 0.505 0.746 0.003
S 0.776 0.979 0.029
S 0.280 0.973 0.535
S 0.980 0.775 0.721
Ag 0.754 0.998 0.697
S 0.780 0.027 0.465
Ag 0.499 0.742 0.529
Gd 0.257 0.002 0.753
S 0.226 0.528 0.035
Gd 0.749 0.502 0.748
S 0.476 0.725 0.786
S 0.276 0.021 0.971

=====

No. 10
A geometry-optimized TlMo6Se4S4 structure, computed with PBE.

Cell lengths 6.799, 6.829, 6.848 Å; angles 91.38, 90.34, 90.05 degrees
Positions (direct):
Se 0.121 0.747 0.609
S 0.874 0.276 0.403
Se 0.747 0.391 0.881
Se 0.256 0.602 0.120
Mo 0.443 0.765 0.414
S 0.754 0.752 0.256
Mo 0.419 0.560 0.757
Mo 0.764 0.586 0.562
S 0.605 0.875 0.721
Se 0.388 0.116 0.257
Mo 0.588 0.438 0.245
Tl 0.992 0.003 0.001
Mo 0.563 0.231 0.585
Mo 0.232 0.413 0.444
S 0.254 0.244 0.746

=====

Number 1: ΔE_f -2.131 eV per atom. Number 2: ΔE_f -0.260 eV per atom. Number 3: ΔE_f -0.538 eV per atom. Number 4: ΔE_f -1.849 eV per atom. Number 5: ΔE_f 0.135 eV per atom. Number 6: ΔE_f -0.285 eV per atom. Number 7: ΔE_f -1.917 eV per atom. Number 8: ΔE_f -2.843 eV per atom. Number 9: ΔE_f -1.582 eV per atom. Number 10: ΔE_f -0.715 eV per atom.